#1
! Li2Si2NiO6, optimized geometry, DFT GGA+U; values from VASP
&SYSTEM
  ibrav = 0, nat = 44, ntyp = 4
/
ATOMIC_SPECIES
Si 28.09 Si.upf
O 16.00 O.upf
Li 6.94 Li.upf
Ni 58.69 Ni.upf
ATOMIC_POSITIONS crystal
Si 0.9685 0.6686 0.1106
Si 0.6027 0.8304 0.4719
Si 0.0949 0.3346 0.9734
Si 0.1026 0.9165 0.4725
Si 0.9664 0.5817 0.6097
Si 0.4785 0.1685 0.5888
Si 0.5976 0.4208 0.9727
Si 0.4794 0.0831 0.0872
O 0.0983 0.7434 0.0727
O 0.0496 0.9919 0.5934
O 0.0872 0.6360 0.3892
O 0.5991 0.8318 0.1537
O 0.5992 0.2439 0.5349
O 0.1602 0.0847 0.0889
O 0.1031 0.9141 0.1540
O 0.0945 0.3364 0.6544
O 0.5982 0.1396 0.8734
O 0.8852 0.8612 0.5922
O 0.3777 0.3657 0.0928
O 0.6031 0.0084 0.0315
O 0.0870 0.6142 0.8890
O 0.5576 0.4959 0.0996
O 0.1599 0.1654 0.5913
O 0.5595 0.7556 0.5979
O 0.0927 0.5067 0.5718
O 0.8781 0.3898 0.0929
O 0.5981 0.1125 0.3728
O 0.6502 0.6677 0.1030
O 0.3854 0.8861 0.5921
O 0.5933 0.4192 0.6546
O 0.6481 0.5830 0.6023
O 0.0436 0.2595 0.0961
Li 0.9389 0.4191 0.4923
Li 0.9459 0.8309 0.9911
Li 0.4550 0.9166 0.9878
Li 0.4498 0.3344 0.4880
Li 0.4849 0.5837 0.9468
Li 0.9939 0.0819 0.4447
Li 0.9938 0.1685 0.9456
Li 0.4858 0.6669 0.4465
Ni 0.4591 0.7494 0.9614
Ni 0.9742 0.2510 0.4689
Ni 0.9768 0.9994 0.9665
Ni 0.4535 0.5010 0.4622
CELL_PARAMETERS angstrom
4.6910 -2.0572 0.1718
7.6348 17.1648 -5.1716
0.2931 1.3383 4.9425
! Calculated volume = 11.64 Å³/atom



#2
! Li2Si2NiO6, optimized geometry, DFT GGA+U; values from VASP
&SYSTEM
  ibrav = 0, nat = 44, ntyp = 4
/
ATOMIC_SPECIES
O 16.00 O.upf
Li 6.94 Li.upf
Si 28.09 Si.upf
Ni 58.69 Ni.upf
ATOMIC_POSITIONS crystal
O 0.8871 0.8834 0.3756
O 0.1187 0.1133 0.6258
O 0.9925 0.9918 0.7489
O 0.8850 0.8813 0.8756
O 0.8643 0.3749 0.3990
O 0.1304 0.6287 0.5997
O 0.6246 0.1408 0.6476
O 0.1159 0.1157 0.1248
O 0.2326 0.4867 0.7943
O 0.4911 0.2320 0.9570
O 0.5099 0.7677 0.0431
O 0.0087 0.0026 0.4994
O 0.3737 0.8674 0.3499
O 0.0001 0.9977 0.2498
O 0.1349 0.6272 0.0999
O 0.2332 0.4894 0.2940
O 0.7702 0.5088 0.2065
O 0.6274 0.1340 0.1497
O 0.7676 0.5068 0.7071
O 0.5133 0.7648 0.5448
O 0.0025 0.0036 0.9994
O 0.4947 0.2299 0.4572
O 0.8597 0.3744 0.8981
O 0.3692 0.8691 0.8488
Li 0.2606 0.3962 0.1913
Li 0.7357 0.6038 0.8090
Li 0.7395 0.6043 0.3093
Li 0.6045 0.7399 0.4414
Li 0.6019 0.7393 0.9400
Li 0.3951 0.2638 0.5592
Li 0.3974 0.2616 0.0598
Li 0.2604 0.3965 0.6907
Si 0.1375 0.8014 0.8159
Si 0.8599 0.1953 0.6834
Si 0.8066 0.1394 0.4340
Si 0.8029 0.1391 0.9335
Si 0.1969 0.8615 0.0659
Si 0.1408 0.8031 0.3164
Si 0.8612 0.1956 0.1838
Si 0.1989 0.8600 0.5664
Ni 0.7406 0.7485 0.6267
Ni 0.2561 0.2581 0.3761
Ni 0.7448 0.7422 0.1246
Ni 0.2516 0.2585 0.8766
CELL_PARAMETERS angstrom
1.1451 -1.0975 5.3534
5.2371 -1.4504 1.2449
3.9733 18.0972 3.2029
! Calculated volume = 11.82 Å³/atom



Winner for stability: #1



#1
! Li2Si2NiO6, optimized geometry, DFT GGA+U; values from VASP
&SYSTEM
  ibrav = 0, nat = 22, ntyp = 4
/
ATOMIC_SPECIES
O 16.00 O.upf
Ni 58.69 Ni.upf
Si 28.09 Si.upf
Li 6.94 Li.upf
ATOMIC_POSITIONS crystal
O 0.7989 0.2033 0.5060
O 0.3123 0.3411 0.9376
O 0.8804 0.1536 0.7832
O 0.8680 0.7244 0.3279
O 0.3804 0.8464 0.2168
O 0.2776 0.3957 0.3158
O 0.3154 0.8613 0.8342
O 0.8154 0.1387 0.1658
O 0.2989 0.7967 0.4940
O 0.8123 0.6589 0.0624
O 0.7776 0.6043 0.6842
O 0.3680 0.2756 0.6721
Ni 0.1096 0.3718 0.1127
Ni 0.6096 0.6282 0.8873
Si 0.2248 0.1453 0.8186
Si 0.7248 0.8547 0.1814
Si 0.7198 0.3136 0.6540
Si 0.2198 0.6864 0.3460
Li 0.2022 0.1595 0.4768
Li 0.7022 0.8405 0.5232
Li 0.1867 0.6739 0.6766
Li 0.6867 0.3261 0.3234
CELL_PARAMETERS angstrom
4.7268 0.0000 0.0000
0.0000 5.4013 0.0000
0.0000 0.3518 9.5928
! Calculated volume = 11.13 Å³/atom



#2
! Li2Si2NiO6, optimized geometry, DFT GGA+U; values from VASP
&SYSTEM
  ibrav = 0, nat = 66, ntyp = 4
/
ATOMIC_SPECIES
Li 6.94 Li.upf
O 16.00 O.upf
Si 28.09 Si.upf
Ni 58.69 Ni.upf
ATOMIC_POSITIONS crystal
Li 0.2118 0.7436 0.5000
Li 0.2296 0.2685 0.5000
Li 0.7112 0.9568 0.7254
Li 0.2888 0.4568 0.2254
Li 0.7112 0.9568 0.2746
Li 0.7704 0.7685 0.0000
Li 0.7792 0.5356 0.2708
Li 0.7882 0.2436 0.0000
Li 0.7792 0.5356 0.7292
Li 0.2208 0.0356 0.2292
Li 0.2208 0.0356 0.7708
Li 0.2888 0.4568 0.7746
O 0.9466 0.8986 0.8273
O 0.9466 0.8986 0.1727
O 0.2495 0.7580 0.7765
O 0.5570 0.8605 0.1232
O 0.4430 0.3605 0.3768
O 0.0534 0.3986 0.6727
O 0.9448 0.6332 0.1251
O 0.4445 0.3017 0.8666
O 0.6971 0.0685 0.0000
O 0.0455 0.1939 0.8690
O 0.0552 0.1332 0.3749
O 0.1895 0.4621 0.0000
O 0.9545 0.6939 0.3690
O 0.7990 0.4288 0.0000
O 0.5570 0.8605 0.8768
O 0.6938 0.5313 0.5000
O 0.4634 0.0919 0.3211
O 0.0455 0.1939 0.1310
O 0.3062 0.0313 0.0000
O 0.9545 0.6939 0.6310
O 0.7505 0.2580 0.7235
O 0.5366 0.5919 0.1789
O 0.0552 0.1332 0.6251
O 0.5366 0.5919 0.8211
O 0.5555 0.8017 0.3666
O 0.4430 0.3605 0.6232
O 0.2010 0.9288 0.5000
O 0.5555 0.8017 0.6334
O 0.8105 0.9621 0.5000
O 0.7505 0.2580 0.2765
O 0.0534 0.3986 0.3273
O 0.2495 0.7580 0.2235
O 0.3029 0.5685 0.5000
O 0.4445 0.3017 0.1334
O 0.9448 0.6332 0.8749
O 0.4634 0.0919 0.6789
Si 0.4760 0.7431 0.2267
Si 0.0232 0.7532 0.7737
Si 0.4760 0.7431 0.7733
Si 0.5240 0.2431 0.2733
Si 0.4829 0.4696 0.5000
Si 0.9768 0.2532 0.2737
Si 0.9804 0.5258 0.0000
Si 0.5240 0.2431 0.7267
Si 0.9768 0.2532 0.7263
Si 0.5171 0.9696 0.0000
Si 0.0196 0.0258 0.5000
Si 0.0232 0.7532 0.2263
Ni 0.7510 0.7465 0.5000
Ni 0.4820 0.9657 0.5000
Ni 0.9801 0.0233 0.0000
Ni 0.2490 0.2465 0.0000
Ni 0.5180 0.4657 0.0000
Ni 0.0199 0.5233 0.5000
CELL_PARAMETERS angstrom
7.1320 0.0000 0.0000
0.0000 9.8222 0.0000
0.0000 0.0000 10.0409
! Calculated volume = 10.66 Å³/atom



#3
! Li2Si2NiO6, optimized geometry, DFT GGA+U; values from VASP
&SYSTEM
  ibrav = 0, nat = 44, ntyp = 4
/
ATOMIC_SPECIES
O 16.00 O.upf
Si 28.09 Si.upf
Li 6.94 Li.upf
Ni 58.69 Ni.upf
ATOMIC_POSITIONS crystal
O 0.9907 0.3300 0.8819
O 0.4846 0.2238 0.2442
O 0.4584 0.2774 0.0075
O 0.0128 0.7242 0.2288
O 0.3552 0.4840 0.8899
O 0.4566 0.2787 0.5077
O 0.1821 0.8306 0.0349
O 0.3561 0.4842 0.3889
O 0.7635 0.6716 0.4954
O 0.9896 0.3313 0.3813
O 0.0461 0.9840 0.2945
O 0.4866 0.7767 0.2421
O 0.7617 0.6701 0.9946
O 0.7796 0.5170 0.1778
O 0.4845 0.2242 0.7439
O 0.5891 0.0174 0.0232
O 0.0702 0.1710 0.0919
O 0.5891 0.0184 0.5223
O 0.0154 0.7238 0.7290
O 0.1835 0.8309 0.5352
O 0.7773 0.5183 0.6782
O 0.0697 0.1714 0.5914
O 0.4880 0.7784 0.7425
O 0.0448 0.9840 0.7947
Si 0.1758 0.8359 0.6969
Si 0.7606 0.6664 0.6546
Si 0.3938 0.1657 0.0881
Si 0.1748 0.8356 0.1967
Si 0.3087 0.3356 0.8807
Si 0.3934 0.1665 0.5878
Si 0.3083 0.3362 0.3802
Si 0.7599 0.6653 0.1540
Li 0.8180 0.3365 0.0626
Li 0.5384 0.8366 0.9521
Li 0.1250 0.6651 0.4090
Li 0.9042 0.1646 0.7693
Li 0.1242 0.6646 0.9090
Li 0.9042 0.1649 0.2694
Li 0.5390 0.8374 0.4519
Li 0.8175 0.3374 0.5620
Ni 0.7274 0.5001 0.8636
Ni 0.9780 0.0011 0.4889
Ni 0.9775 0.0009 0.9890
Ni 0.7277 0.5014 0.3640
CELL_PARAMETERS angstrom
4.0246 2.0156 2.3741
8.2134 -3.3387 -5.6739
-2.1543 9.1281 -3.9527
! Calculated volume = 11.65 Å³/atom



Winner for stability: #3



#1
! Li2Si2NiO6, optimized geometry, DFT GGA+U; values from VASP
&SYSTEM
  ibrav = 0, nat = 44, ntyp = 4
/
ATOMIC_SPECIES
Li 6.94 Li.upf
O 16.00 O.upf
Si 28.09 Si.upf
Ni 58.69 Ni.upf
ATOMIC_POSITIONS crystal
Li 0.7669 0.3814 0.4926
Li 0.7334 0.6186 0.0075
Li 0.9682 0.1187 0.4294
Li 0.2667 0.3813 0.9923
Li 0.4683 0.1188 0.9295
Li 0.0320 0.8812 0.5704
Li 0.2333 0.6186 0.5077
Li 0.5321 0.8813 0.0706
O 0.3502 0.0865 0.1592
O 0.6500 0.9135 0.8409
O 0.6821 0.5867 0.5482
O 0.4999 0.0001 0.5001
O 0.5429 0.3002 0.0832
O 0.5471 0.2502 0.5678
O 0.3470 0.1999 0.7871
O 0.7495 0.5002 0.2500
O 0.8468 0.1996 0.2870
O 0.0471 0.2502 0.0679
O 0.9572 0.6998 0.4169
O 0.0001 0.0000 0.0000
O 0.3176 0.4134 0.4518
O 0.8500 0.0865 0.6591
O 0.4528 0.7499 0.4322
O 0.8179 0.4132 0.9517
O 0.9528 0.7499 0.9323
O 0.2495 0.5002 0.7500
O 0.0428 0.3002 0.5833
O 0.4572 0.6998 0.9168
O 0.1824 0.5866 0.0481
O 0.6533 0.8004 0.2130
O 0.1532 0.8003 0.7130
O 0.1500 0.9134 0.3408
Si 0.5598 0.1320 0.6358
Si 0.7742 0.3681 0.0860
Si 0.2258 0.6319 0.9139
Si 0.4401 0.8681 0.3641
Si 0.0599 0.1320 0.1359
Si 0.9401 0.8680 0.8641
Si 0.2741 0.3681 0.5861
Si 0.7257 0.6319 0.4140
Ni 0.5107 0.7505 0.7464
Ni 0.0108 0.7503 0.2462
Ni 0.9897 0.2492 0.7536
Ni 0.4892 0.2496 0.2537
CELL_PARAMETERS angstrom
-4.8680 1.4644 2.2767
-0.8423 -6.2604 8.8399
3.0501 9.2638 1.7636
! Calculated volume = 11.81 Å³/atom



#2
! Li2Si2NiO6, optimized geometry, DFT GGA+U; values from VASP
&SYSTEM
  ibrav = 0, nat = 66, ntyp = 4
/
ATOMIC_SPECIES
Si 28.09 Si.upf
O 16.00 O.upf
Li 6.94 Li.upf
Ni 58.69 Ni.upf
ATOMIC_POSITIONS crystal
Si 0.9090 0.9090 0.0910
Si 0.2829 0.5811 0.4247
Si 0.9465 0.5643 0.4463
Si 0.1590 0.1590 0.3410
Si 0.5811 0.2829 0.7113
Si 0.2071 0.8037 0.6857
Si 0.4934 0.4934 0.0066
Si 0.5643 0.9465 0.0429
Si 0.2434 0.2434 0.7566
Si 0.8253 0.5387 0.9671
Si 0.8037 0.2071 0.3035
Si 0.5387 0.8253 0.6689
O 0.7302 0.1684 0.2776
O 0.8045 0.6706 0.8837
O 0.7951 0.3359 0.2332
O 0.7611 0.4715 0.9708
O 0.0996 0.2996 0.7763
O 0.6562 0.7161 0.2189
O 0.6087 0.3663 0.5794
O 0.1190 0.3959 0.1887
O 0.1837 0.0670 0.4477
O 0.4262 0.9724 0.0816
O 0.6706 0.8045 0.6413
O 0.2792 0.4534 0.4889
O 0.4534 0.2792 0.7785
O 0.0613 0.9536 0.1310
O 0.3359 0.7951 0.6358
O 0.9724 0.4262 0.5198
O 0.4800 0.0887 0.4954
O 0.3140 0.7546 0.1613
O 0.8412 0.0311 0.5339
O 0.4255 0.4737 0.9504
O 0.9536 0.0613 0.8541
O 0.0168 0.6142 0.4549
O 0.3959 0.1190 0.2964
O 0.4737 0.4255 0.1504
O 0.9484 0.8023 0.1830
O 0.4715 0.7611 0.7966
O 0.0887 0.4800 0.9360
O 0.3663 0.6087 0.4455
O 0.7546 0.3140 0.7700
O 0.2996 0.0996 0.8245
O 0.8023 0.9484 0.0663
O 0.1684 0.7302 0.8238
O 0.0311 0.8412 0.5938
O 0.0670 0.1837 0.3016
O 0.6142 0.0168 0.9141
O 0.7161 0.6562 0.4088
Li 0.0594 0.8023 0.2201
Li 0.6230 0.6230 0.8770
Li 0.3730 0.3730 0.6270
Li 0.4625 0.1108 0.8936
Li 0.0299 0.3319 0.1906
Li 0.3564 0.7170 0.7875
Li 0.8023 0.0594 0.9181
Li 0.1108 0.4625 0.5330
Li 0.0021 0.0021 0.4979
Li 0.7521 0.7521 0.2479
Li 0.3319 0.0299 0.4477
Li 0.7170 0.3564 0.1392
Ni 0.6239 0.6239 0.3761
Ni 0.5106 0.1317 0.3061
Ni 0.1983 0.9439 0.1183
Ni 0.8739 0.8739 0.6261
Ni 0.9439 0.1983 0.7394
Ni 0.1317 0.5106 0.0517
CELL_PARAMETERS angstrom
-6.6603 -3.6155 13.6552
-10.6607 1.5394 4.3670
0.3123 -9.3916 6.3676
! Calculated volume = 11.69 Å³/atom



#3
! Li2Si2NiO6, optimized geometry, DFT GGA+U; values from VASP
&SYSTEM
  ibrav = 0, nat = 22, ntyp = 4
/
ATOMIC_SPECIES
Si 28.09 Si.upf
Li 6.94 Li.upf
O 16.00 O.upf
Ni 58.69 Ni.upf
ATOMIC_POSITIONS crystal
Si 0.3135 0.3343 0.7569
Si 0.1709 0.8395 0.3990
Si 0.3978 0.1623 0.1710
Si 0.7573 0.6674 0.3139
Li 0.9127 0.1667 0.5231
Li 0.8272 0.3351 0.1151
Li 0.5230 0.8353 0.9131
Li 0.1154 0.6666 0.8278
O 0.9965 0.3303 0.7573
O 0.7853 0.5164 0.3583
O 0.7581 0.6720 0.9977
O 0.0041 0.7313 0.4681
O 0.0569 0.9916 0.5940
O 0.3586 0.4852 0.7848
O 0.4667 0.2705 0.0039
O 0.4818 0.7761 0.4885
O 0.5937 0.0103 0.0576
O 0.0775 0.1674 0.1710
O 0.4873 0.2255 0.4815
O 0.1716 0.8342 0.0789
Ni 0.7253 0.5012 0.7255
Ni 0.9648 0.0005 0.9646
CELL_PARAMETERS angstrom
-0.0037 3.6451 3.5999
-9.7694 3.6541 0.0018
0.0020 -3.6487 3.6027
! Calculated volume = 11.66 Å³/atom



Winner for stability: #3